Entry 1:
Here is a relaxed structure of La3B6Ru8 from the Materials Project database. Energies are from r²SCAN.

Output
As for the symmetry: Fmmm. The calculation puts the formation energy at -0.4874 eV/atom.

a = 10.047 Å, b = 9.203 Å, c = 5.630 Å
α = 81.42°, β = 64.93°, γ = 33.65°
Atoms (fractional coordinates):
La 0.000 0.000 0.000
La 0.181 0.181 0.819
La 0.819 0.819 0.181
B 0.165 0.493 0.507
B 0.330 0.670 0.330
B 0.493 0.165 0.835
B 0.507 0.835 0.165
B 0.670 0.330 0.670
B 0.835 0.507 0.493
Ru 0.086 0.086 0.414
Ru 0.250 0.250 0.250
Ru 0.413 0.413 0.587
Ru 0.414 0.414 0.086
Ru 0.586 0.586 0.914
Ru 0.587 0.587 0.413
Ru 0.750 0.750 0.750
Ru 0.914 0.914 0.586

Entry 2:
Here is a relaxed structure of SmY3 from the Materials Project database. Energies are from r²SCAN.

Output
For the excess energy over the best structure of this formula in the dataset, the calculation gives 6.3 kJ per mole of atoms. As for the symmetry: I4/mmm. The calculation puts the formation energy at 0.0736 eV/atom.

a = 6.234 Å, b = 6.234 Å, c = 6.234 Å
α = 131.42°, β = 131.42°, γ = 71.15°
Atoms (fractional coordinates):
Sm 0.000 0.000 0.000
Y 0.250 0.750 0.500
Y 0.500 0.500 0.000
Y 0.750 0.250 0.500

Entry 3:
Here is a relaxed structure of NaYbO2 from the Materials Project database. Energies are from r²SCAN.

Output
As for the symmetry: I4_1/amd. The calculation puts the formation energy at -3.1787 eV/atom.

a = 5.906 Å, b = 5.906 Å, c = 5.906 Å
α = 135.14°, β = 135.14°, γ = 65.31°
Atoms (fractional coordinates):
Na 0.375 0.625 0.750
Na 0.625 0.375 0.250
Yb 0.125 0.875 0.250
Yb 0.875 0.125 0.750
O 0.098 0.348 0.750
O 0.348 0.098 0.250
O 0.652 0.902 0.750
O 0.902 0.652 0.250

Entry 4:
Here is a relaxed structure of NdFe5 from the Materials Project database. Energies are from r²SCAN.

Output
As for the symmetry: P6/mmm. The calculation puts the formation energy at 0.0828 eV/atom.

a = 5.242 Å, b = 5.242 Å, c = 3.918 Å
α = 90.00°, β = 90.00°, γ = 120.00°
Atoms (fractional coordinates):
Nd 0.000 0.000 0.000
Fe 0.000 0.500 0.500
Fe 0.333 0.667 0.000
Fe 0.500 0.000 0.500
Fe 0.500 0.500 0.500
Fe 0.667 0.333 0.000

Entry 5:
Here is a relaxed structure of P from the Materials Project database. Energies are from r²SCAN.

Output
For the excess energy over the best structure of this formula in the dataset, the calculation gives 8.3 kJ per mole of atoms. As for the symmetry: Pm. The calculation puts the formation energy at 0.0864 eV/atom.

a = 5.635 Å, b = 19.632 Å, c = 6.326 Å
α = 90.00°, β = 104.66°, γ = 90.00°
Atoms (fractional coordinates):
P 0.000 0.000 0.000
P 0.148 0.058 0.533
P 0.148 0.942 0.533
P 0.537 0.087 0.564
P 0.537 0.913 0.564
P 0.564 0.057 0.236
P 0.564 0.943 0.236
P 0.619 0.000 0.788
P 0.934 0.087 0.205
P 0.934 0.913 0.205

Entry 6:
Here is a relaxed structure of SmCu2Si2 from the Materials Project database. Energies are from r²SCAN.

Output
As for the symmetry: I4/mmm. The calculation puts the formation energy at -0.6390 eV/atom.

a = 5.696 Å, b = 5.696 Å, c = 5.696 Å
α = 138.57°, β = 138.57°, γ = 60.04°
Atoms (fractional coordinates):
Sm 0.000 0.000 0.000
Cu 0.250 0.750 0.500
Cu 0.750 0.250 0.500
Si 0.379 0.379 0.000
Si 0.621 0.621 0.000

Entry 7:
Here is a relaxed structure of Na5P3O10 from the Materials Project database. Energies are from r²SCAN.

Output
For the excess energy over the best structure of this formula in the dataset, the calculation gives 0.0 kJ per mole of atoms. As for the symmetry: C2/c. The calculation puts the formation energy at -2.4497 eV/atom.

a = 8.356 Å, b = 8.356 Å, c = 11.123 Å
α = 92.72°, β = 92.72°, γ = 36.08°
Atoms (fractional coordinates):
Na 0.000 0.500 0.500
Na 0.075 0.608 0.792
Na 0.199 0.722 0.539
Na 0.278 0.801 0.961
Na 0.392 0.925 0.708
Na 0.500 0.000 0.000
Na 0.608 0.075 0.292
Na 0.722 0.199 0.039
Na 0.801 0.278 0.461
Na 0.925 0.392 0.208
P 0.157 0.548 0.099
P 0.198 0.802 0.250
P 0.452 0.843 0.401
P 0.548 0.157 0.599
P 0.802 0.198 0.750
P 0.843 0.452 0.901
O 0.008 0.913 0.348
O 0.087 0.992 0.152
O 0.137 0.164 0.893
O 0.164 0.137 0.393
O 0.227 0.332 0.149
O 0.292 0.468 0.980
O 0.332 0.227 0.649
O 0.333 0.534 0.192
O 0.466 0.667 0.308
O 0.468 0.292 0.480
O 0.532 0.708 0.520
O 0.534 0.333 0.692
O 0.667 0.466 0.808
O 0.668 0.773 0.351
O 0.708 0.532 0.020
O 0.773 0.668 0.851
O 0.836 0.863 0.607
O 0.863 0.836 0.107
O 0.913 0.008 0.848
O 0.992 0.087 0.652

Entry 8:
Here is a relaxed structure of La3Si2S8Cl from the Materials Project database. Energies are from r²SCAN.

Output
As for the symmetry: C2/c. The calculation puts the formation energy at -1.8414 eV/atom.

a = 8.804 Å, b = 8.804 Å, c = 11.090 Å
α = 96.13°, β = 96.13°, γ = 52.62°
Atoms (fractional coordinates):
La 0.117 0.883 0.750
La 0.189 0.427 0.314
La 0.427 0.189 0.814
La 0.573 0.811 0.186
La 0.811 0.573 0.686
La 0.883 0.117 0.250
Si 0.129 0.192 0.031
Si 0.192 0.129 0.531
Si 0.808 0.871 0.469
Si 0.871 0.808 0.969
S 0.059 0.239 0.843
S 0.088 0.780 0.448
S 0.099 0.607 0.858
S 0.210 0.357 0.584
S 0.220 0.912 0.052
S 0.239 0.059 0.343
S 0.357 0.210 0.084
S 0.393 0.901 0.642
S 0.607 0.099 0.358
S 0.643 0.790 0.916
S 0.761 0.941 0.657
S 0.780 0.088 0.948
S 0.790 0.643 0.416
S 0.901 0.393 0.142
S 0.912 0.220 0.552
S 0.941 0.761 0.157
Cl 0.495 0.505 0.750
Cl 0.505 0.495 0.250

Entry 9:
Here is a relaxed structure of HoSbPt from the Materials Project database. Energies are from r²SCAN.

Output
As for the symmetry: F-43m. The calculation puts the formation energy at -1.3809 eV/atom.

a = 4.631 Å, b = 4.631 Å, c = 4.631 Å
α = 60.00°, β = 60.00°, γ = 60.00°
Atoms (fractional coordinates):
Ho 0.000 0.000 0.000
Sb 0.500 0.500 0.500
Pt 0.250 0.250 0.250

Entry 10:
Here is a relaxed structure of Cr12P7 from the Materials Project database. Energies are from r²SCAN.

Output
As for the symmetry: Pm. The calculation puts the formation energy at -0.3727 eV/atom.

a = 8.955 Å, b = 3.459 Å, c = 8.980 Å
α = 90.00°, β = 119.82°, γ = 90.00°
Atoms (fractional coordinates):
Cr 0.000 0.000 0.000
Cr 0.018 0.500 0.277
Cr 0.133 0.500 0.627
Cr 0.237 0.000 0.884
Cr 0.307 0.500 0.144
Cr 0.368 0.500 0.508
Cr 0.501 0.500 0.927
Cr 0.527 0.000 0.411
Cr 0.646 0.000 0.769
Cr 0.722 0.500 0.349
Cr 0.762 0.000 0.120
Cr 0.879 0.000 0.645
P 0.044 0.500 0.844
P 0.218 0.000 0.289
P 0.355 0.000 0.696
P 0.511 0.000 0.140
P 0.680 0.500 0.604
P 0.801 0.500 0.969
P 0.949 0.000 0.426

Entry 11:
Here is a relaxed structure of NaHg3 from the Materials Project database. Energies are from r²SCAN.

Output
As for the symmetry: Pm-3m. The calculation puts the formation energy at -0.1940 eV/atom.

a = 4.641 Å, b = 4.641 Å, c = 4.641 Å
α = 90.00°, β = 90.00°, γ = 90.00°
Atoms (fractional coordinates):
Na 0.000 0.000 0.000
Hg 0.000 0.500 0.500
Hg 0.500 0.000 0.500
Hg 0.500 0.500 0.000

Entry 12:
Here is a relaxed structure of Zr2AlC from the Materials Project database. Energies are from r²SCAN.

Output
As for the symmetry: P6_3/mmc. The calculation puts the formation energy at -0.7530 eV/atom.

a = 3.319 Å, b = 3.319 Å, c = 14.582 Å
α = 90.00°, β = 90.00°, γ = 120.00°
Atoms (fractional coordinates):
Zr 0.333 0.667 0.087
Zr 0.333 0.667 0.413
Zr 0.667 0.333 0.587
Zr 0.667 0.333 0.913
Al 0.333 0.667 0.750
Al 0.667 0.333 0.250
C 0.000 0.000 0.000
C 0.000 0.000 0.500

Q: Number 10 is which compound?
A: Cr12P7